Record 1
Material: NbAg7S6
Method: DFT, PBE-GGA
State: relaxed

```
data_NbAg7S6
_cell_length_a 7.736
_cell_length_b 7.453
_cell_length_c 13.354
_cell_angle_alpha 90.00
_cell_angle_beta 124.77
_cell_angle_gamma 90.00
_space_group_name_H-M_alt 'P 1 c 1'
_space_group_IT_number 7
loop_
_space_group_symop_operation_xyz
'x,y,z'
'x,-y,z+1/2'
loop_
_atom_site_label
_atom_site_type_symbol
_atom_site_fract_x
_atom_site_fract_y
_atom_site_fract_z
Nb1 Nb 0.000 0.244 0.000
Ag1 Ag 0.099 0.121 0.407
Ag2 Ag 0.301 0.487 0.487
Ag3 Ag 0.304 0.217 0.278
Ag4 Ag 0.474 0.043 0.148
Ag5 Ag 0.691 0.319 0.729
Ag6 Ag 0.712 0.415 0.451
Ag7 Ag 0.909 0.399 0.191
S1 S 0.101 0.245 0.864
S2 S 0.112 0.023 0.611
S3 S 0.142 0.498 0.129
S4 S 0.504 0.215 0.509
S5 S 0.638 0.242 0.895
S6 S 0.742 0.268 0.281
```

Computed properties:
final energy = -0.15212 hartree per atom
spin magnetization = 0.00 Bohr magnetons per cell
formation enthalpy at 0 K = -444 meV per atom
energy relative to the lowest polymorph listed for this composition = 0.000 eV/atom
crystal system = monoclinic

Record 2
Material: Li2AgN
Method: DFT, PBE-GGA
State: relaxed

```
data_Li2AgN
_cell_length_a 5.297
_cell_length_b 7.587
_cell_length_c 4.783
_cell_angle_alpha 90.00
_cell_angle_beta 90.00
_cell_angle_gamma 90.00
_space_group_name_H-M_alt 'P c a 21'
_space_group_IT_number 29
loop_
_space_group_symop_operation_xyz
'x,y,z'
'-x,-y,z+1/2'
'-x+1/2,y,z+1/2'
'x+1/2,-y,z'
loop_
_atom_site_label
_atom_site_type_symbol
_atom_site_fract_x
_atom_site_fract_y
_atom_site_fract_z
Li1 Li 0.126 0.226 0.000
Li2 Li 0.241 0.957 0.171
Ag1 Ag 0.097 0.600 0.993
N1 N 0.029 0.142 0.400
```

Computed properties:
final energy = -0.13828 hartree per atom
spin magnetization = 0.00 Bohr magnetons per cell
formation enthalpy at 0 K = -106 meV per atom
crystal system = orthorhombic

Record 3
Material: CeSe2
Method: DFT, PBE-GGA
State: relaxed

```
data_CeSe2
_cell_length_a 24.172
_cell_length_b 31.954
_cell_length_c 12.606
_cell_angle_alpha 90.00
_cell_angle_beta 90.00
_cell_angle_gamma 90.00
_space_group_name_H-M_alt 'C m m m'
_space_group_IT_number 65
_space_group_name_Hall '-C 2 2'
loop_
_atom_site_label
_atom_site_type_symbol
_atom_site_fract_x
_atom_site_fract_y
_atom_site_fract_z
Ce1 Ce 0.000 0.149 0.200
Ce2 Ce 0.000 0.265 0.500
Ce3 Ce 0.197 0.082 0.207
Ce4 Ce 0.203 0.327 0.500
Se1 Se 0.000 0.181 0.000
Se2 Se 0.000 0.219 0.321
Se3 Se 0.090 0.101 0.251
Se4 Se 0.092 0.314 0.500
Se5 Se 0.214 0.000 0.259
Se6 Se 0.221 0.099 0.000
Se7 Se 0.232 0.370 0.323
Se8 Se 0.250 0.250 0.500
```

Computed properties:
final energy = -0.19802 hartree per atom
spin magnetization = 0.00 Bohr magnetons per cell
formation enthalpy at 0 K = -1395 meV per atom
crystal system = orthorhombic

Record 4
Material: SiP2
Method: DFT, PBE-GGA
State: relaxed

```
data_SiP2
_cell_length_a 5.742
_cell_length_b 5.742
_cell_length_c 5.742
_cell_angle_alpha 90.00
_cell_angle_beta 90.00
_cell_angle_gamma 90.00
_space_group_name_H-M_alt 'P a -3'
_space_group_IT_number 205
_space_group_name_Hall '-P 2ac 2ab 3'
loop_
_atom_site_label
_atom_site_type_symbol
_atom_site_fract_x
_atom_site_fract_y
_atom_site_fract_z
Si1 Si 0.000 0.000 0.000
P1 P 0.109 0.609 0.891
```

Computed properties:
final energy = -0.20311 hartree per atom
formation enthalpy at 0 K = -110 meV per atom
energy relative to the lowest polymorph listed for this composition = 0.015 eV/atom
crystal system = cubic

Record 5
Material: Cs2AgAuF6
Method: DFT, PBE-GGA
State: relaxed

```
data_Cs2AgAuF6
_cell_length_a 9.093
_cell_length_b 9.093
_cell_length_c 9.093
_cell_angle_alpha 90.00
_cell_angle_beta 90.00
_cell_angle_gamma 90.00
_space_group_name_H-M_alt 'F m -3 m'
_space_group_IT_number 225
_space_group_name_Hall '-F 4 2 3'
loop_
_atom_site_label
_atom_site_type_symbol
_atom_site_fract_x
_atom_site_fract_y
_atom_site_fract_z
Cs1 Cs 0.250 0.250 0.250
Ag1 Ag 0.000 0.000 0.000
Au1 Au 0.000 0.000 0.500
F1 F 0.000 0.000 0.254
```

Computed properties:
final energy = -0.13575 hartree per atom
spin magnetization = 0.01 Bohr magnetons per cell
formation enthalpy at 0 K = -2033 meV per atom
crystal system = cubic

Record 6
Material: PrB7IO15
Method: DFT, PBE-GGA
State: relaxed

```
data_PrB7IO15
_cell_length_a 8.206
_cell_length_b 17.375
_cell_length_c 12.869
_cell_angle_alpha 90.00
_cell_angle_beta 129.32
_cell_angle_gamma 90.00
_space_group_name_H-M_alt 'P 1 21/c 1'
_space_group_IT_number 14
loop_
_space_group_symop_operation_xyz
'x,y,z'
'-x,-y,-z'
'-x,y+1/2,-z+1/2'
'x,-y+1/2,z+1/2'
loop_
_atom_site_label
_atom_site_type_symbol
_atom_site_fract_x
_atom_site_fract_y
_atom_site_fract_z
Pr1 Pr 0.056 0.205 0.250
B1 B 0.069 0.750 0.023
B2 B 0.308 0.211 0.610
B3 B 0.348 0.702 0.251
B4 B 0.407 0.084 0.715
B5 B 0.415 0.556 0.272
B6 B 0.431 0.695 0.634
B7 B 0.460 0.228 0.008
I1 I 0.172 0.576 0.844
O1 O 0.004 0.532 0.241
O2 O 0.022 0.563 0.341
O3 O 0.123 0.721 0.140
O4 O 0.131 0.248 0.598
O5 O 0.214 0.716 0.516
O6 O 0.291 0.130 0.603
O7 O 0.295 0.242 0.497
O8 O 0.305 0.112 0.340
O9 O 0.357 0.706 0.370
O10 O 0.380 0.005 0.693
O11 O 0.402 0.630 0.229
O12 O 0.421 0.225 0.887
O13 O 0.454 0.614 0.658
O14 O 0.457 0.547 0.392
O15 O 0.486 0.736 0.759
```

Computed properties:
final energy = -0.26578 hartree per atom
spin magnetization = 0.29 Bohr magnetons per cell
formation enthalpy at 0 K = -2030 meV per atom
crystal system = monoclinic

Record 7
Material: SrNdHf4O12
Method: DFT, PBE-GGA
State: relaxed

```
data_SrNdHf4O12
_cell_length_a 8.202
_cell_length_b 8.126
_cell_length_c 8.188
_cell_angle_alpha 90.00
_cell_angle_beta 90.00
_cell_angle_gamma 90.00
_space_group_name_H-M_alt 'A m m 2'
_space_group_IT_number 38
loop_
_space_group_symop_operation_xyz
'x,y,z'
'-x,-y,z'
'-x,y,z'
'x,-y,z'
'x,y+1/2,z+1/2'
'-x,-y+1/2,z+1/2'
'-x,y+1/2,z+1/2'
'x,-y+1/2,z+1/2'
loop_
_atom_site_label
_atom_site_type_symbol
_atom_site_fract_x
_atom_site_fract_y
_atom_site_fract_z
Sr1 Sr 0.000 0.000 0.000
Nd1 Nd 0.500 0.000 0.560
Hf1 Hf 0.251 0.238 0.277
O1 O 0.000 0.217 0.270
O2 O 0.239 0.000 0.749
O3 O 0.240 0.214 0.026
O4 O 0.308 0.000 0.333
O5 O 0.500 0.213 0.750
```

Computed properties:
final energy = -0.32516 hartree per atom
spin magnetization = 6.00 Bohr magnetons per cell
formation enthalpy at 0 K = -3436 meV per atom
crystal system = orthorhombic

Record 8
Material: LiNbB2O6
Method: DFT, PBE-GGA
State: relaxed

```
data_LiNbB2O6
_cell_length_a 5.046
_cell_length_b 9.108
_cell_length_c 11.696
_cell_angle_alpha 90.00
_cell_angle_beta 107.74
_cell_angle_gamma 90.00
_space_group_name_H-M_alt 'P 1 21/c 1'
_space_group_IT_number 14
loop_
_space_group_symop_operation_xyz
'x,y,z'
'-x,-y,-z'
'-x,y+1/2,-z+1/2'
'x,-y+1/2,z+1/2'
loop_
_atom_site_label
_atom_site_type_symbol
_atom_site_fract_x
_atom_site_fract_y
_atom_site_fract_z
Li1 Li 0.093 0.038 0.407
Nb1 Nb 0.003 0.696 0.369
B1 B 0.012 0.147 0.869
B2 B 0.442 0.183 0.618
O1 O 0.073 0.007 0.837
O2 O 0.074 0.231 0.312
O3 O 0.111 0.663 0.542
O4 O 0.203 0.102 0.587
O5 O 0.301 0.644 0.891
O6 O 0.400 0.173 0.156
```

Computed properties:
final energy = -0.29011 hartree per atom
spin magnetization = 0.00 Bohr magnetons per cell
formation enthalpy at 0 K = -2801 meV per atom
crystal system = monoclinic

Record 9
Material: NdTlS2
Method: DFT, PBE-GGA
State: relaxed

```
data_NdTlS2
_cell_length_a 4.1872
_cell_length_b 4.1872
_cell_length_c 22.5185
_cell_angle_alpha 90.00
_cell_angle_beta 90.00
_cell_angle_gamma 120.00
_space_group_name_H-M_alt 'R -3 m'
_space_group_IT_number 166
_space_group_name_Hall '-R 3 2"'
loop_
_atom_site_label
_atom_site_type_symbol
_atom_site_fract_x
_atom_site_fract_y
_atom_site_fract_z
Nd1 Nd 0.0000 0.0000 0.0000
Tl1 Tl 0.0000 0.0000 0.5000
S1 S 0.0000 0.0000 0.2653
```

Computed properties:
final energy = -0.19483 hartree per atom
formation enthalpy at 0 K = -1702 meV per atom
crystal system = trigonal